(1)
Below is an optimized crystal structure of CdP2O6, with properties calculated at the PBE-GGA level.

Results
Maximum piezoelectric response = 0.12 C/m2
ΔE_f = -2426.9 meV per atom
Volume = 13.81 Å³ per atom
Energy = -6.57 eV per atom
Symmetry = P2_12_12_1, No. 19
Density = 3.613 g/cm³

abc: 7.5614 7.5712 8.6823
angles: 90.00 90.00 90.00
Last column: nearest neighbours and their distance in Å.
Atoms (fractional coordinates):
Cd (0.9810, 0.6423, 0.2866)  6 O 2.22-2.47
O (0.8256, 0.3574, 0.3126)  1 P 1.51
O (0.8479, 0.5969, 0.0618)  1 P 1.49
O (0.1744, 0.8574, 0.1874)  1 P 1.51
O (0.0880, 0.3627, 0.6013)  2 P 1.59-1.60
O (0.0042, 0.5641, 0.8109)  2 P 1.60
P (0.1536, 0.1619, 0.5998)  4 O 1.49-1.60
O (0.5042, 0.9359, 0.1890)  2 P 1.60
P (0.6212, 0.9393, 0.3432)  4 O 1.50-1.60
P (0.3788, 0.4393, 0.1568)  4 O 1.50-1.60
O (0.6879, 0.0839, 0.7941)  1 P 1.52
O (0.3479, 0.9031, 0.9382)  1 P 1.49
O (0.5491, 0.8192, 0.4651)  1 P 1.50
O (0.5880, 0.1373, 0.3987)  2 P 1.59-1.60
O (0.4958, 0.4359, 0.3110)  2 P 1.60
O (0.0491, 0.6808, 0.5349)  1 P 1.50
O (0.6521, 0.4031, 0.5618)  1 P 1.49
P (0.8464, 0.6619, 0.9002)  4 O 1.49-1.60
O (0.9958, 0.0641, 0.6891)  2 P 1.60
Cd (0.5190, 0.3577, 0.7866)  6 O 2.22-2.47
O (0.4509, 0.3192, 0.0349)  1 P 1.50
P (0.6536, 0.3381, 0.4002)  4 O 1.49-1.60
O (0.1879, 0.4161, 0.2059)  1 P 1.52
O (0.8121, 0.9161, 0.2941)  1 P 1.52
O (0.4120, 0.6373, 0.1013)  2 P 1.59-1.60
O (0.9120, 0.8627, 0.8987)  2 P 1.59-1.60
O (0.9509, 0.1808, 0.9651)  1 P 1.50
O (0.1521, 0.0969, 0.4382)  1 P 1.49
Cd (0.0190, 0.1423, 0.2134)  6 O 2.22-2.47
O (0.6744, 0.6426, 0.8126)  1 P 1.51
Cd (0.4810, 0.8577, 0.7134)  6 O 2.22-2.47
P (0.3464, 0.8381, 0.0998)  4 O 1.49-1.60
P (0.8788, 0.0607, 0.8432)  4 O 1.50-1.60
O (0.3121, 0.5839, 0.7059)  1 P 1.52
P (0.1212, 0.5607, 0.6568)  4 O 1.50-1.60
O (0.3256, 0.1426, 0.6874)  1 P 1.51



(2)
Below is an optimized crystal structure of CsSmNb6Br18, with properties calculated at the PBE-GGA level.

Results
ΔE_f = -1518.5 meV per atom
Volume = 31.42 Å³ per atom
Energy = -4.83 eV per atom
Symmetry = P-31c, No. 163
Density = 4.632 g/cm³

abc: 10.0531 10.0531 18.6681
angles: 90.00 90.00 120.00
Last column: nearest neighbours and their distance in Å.
Atoms (fractional coordinates):
Br (0.6433, 0.0874, 0.6608)  1 Sm 2.89, 1 Nb 2.99
Br (0.2280, 0.1819, 0.3420)  2 Nb 2.60-2.61
Nb (0.9619, 0.8141, 0.5645)  4 Br 2.60-2.61
Br (0.0461, 0.8181, 0.8420)  2 Nb 2.60-2.61
Br (0.7720, 0.9539, 0.8420)  2 Nb 2.60-2.61
Nb (0.8141, 0.8523, 0.4355)  4 Br 2.60-2.61
Nb (0.8141, 0.9619, 0.0645)  4 Br 2.60-2.61
Br (0.5559, 0.6433, 0.3392)  1 Sm 2.89, 1 Nb 2.99
Nb (0.1859, 0.0381, 0.9355)  4 Br 2.60-2.61
Br (0.4100, 0.2732, 0.0005)  2 Nb 2.61
Br (0.9126, 0.5559, 0.6608)  1 Sm 2.89, 1 Nb 2.99
Br (0.2732, 0.4100, 0.5005)  2 Nb 2.61
Br (0.9539, 0.7720, 0.3420)  2 Nb 2.60-2.61
Nb (0.1477, 0.1859, 0.0645)  4 Br 2.60-2.61
Br (0.8633, 0.2732, 0.4995)  2 Nb 2.61
Nb (0.0381, 0.8523, 0.0645)  4 Br 2.60-2.61
Br (0.4441, 0.0874, 0.8392)  1 Sm 2.89, 1 Nb 2.99
Sm (0.6667, 0.3333, 0.7500)  6 Br 2.89
Br (0.6433, 0.5559, 0.8392)  1 Sm 2.89, 1 Nb 2.99
Br (0.9126, 0.3567, 0.8392)  1 Sm 2.89, 1 Nb 2.99
Br (0.4100, 0.1367, 0.4995)  2 Nb 2.61
Br (0.8633, 0.5900, 0.0005)  2 Nb 2.61
Nb (0.1477, 0.9619, 0.4355)  4 Br 2.60-2.61
Br (0.1819, 0.9539, 0.6580)  2 Nb 2.60-2.61
Br (0.5900, 0.8633, 0.5005)  2 Nb 2.61
Br (0.9539, 0.1819, 0.1580)  2 Nb 2.60-2.61
Nb (0.8523, 0.0381, 0.5645)  4 Br 2.60-2.61
Nb (0.9619, 0.1477, 0.9355)  4 Br 2.60-2.61
Br (0.8181, 0.0461, 0.3420)  2 Nb 2.60-2.61
Br (0.2280, 0.0461, 0.1580)  2 Nb 2.60-2.61
Br (0.3567, 0.4441, 0.1608)  1 Sm 2.89, 1 Nb 2.99
Br (0.1367, 0.4100, 0.9995)  2 Nb 2.61
Nb (0.1859, 0.1477, 0.5645)  4 Br 2.60-2.61
Br (0.0461, 0.2280, 0.6580)  2 Nb 2.60-2.61
Br (0.1819, 0.2280, 0.8420)  2 Nb 2.60-2.61
Br (0.5900, 0.7268, 0.9995)  2 Nb 2.61
Cs (0.6667, 0.3333, 0.2500)  12 Br 4.15-4.24
Cs (0.3333, 0.6667, 0.7500)  12 Br 4.15-4.24
Br (0.5559, 0.9126, 0.1608)  1 Sm 2.89, 1 Nb 2.99
Br (0.8181, 0.7720, 0.1580)  2 Nb 2.60-2.61
Br (0.4441, 0.3567, 0.6608)  1 Sm 2.89, 1 Nb 2.99
Br (0.2732, 0.8633, 0.9995)  2 Nb 2.61
Br (0.7268, 0.1367, 0.0005)  2 Nb 2.61
Nb (0.8523, 0.8141, 0.9355)  4 Br 2.60-2.61
Br (0.1367, 0.7268, 0.5005)  2 Nb 2.61
Br (0.7268, 0.5900, 0.4995)  2 Nb 2.61
Br (0.0874, 0.4441, 0.3392)  1 Sm 2.89, 1 Nb 2.99
Br (0.0874, 0.6433, 0.1608)  1 Sm 2.89, 1 Nb 2.99
Br (0.3567, 0.9126, 0.3392)  1 Sm 2.89, 1 Nb 2.99
Sm (0.3333, 0.6667, 0.2500)  6 Br 2.89
Nb (0.0381, 0.1859, 0.4355)  4 Br 2.60-2.61
Br (0.7720, 0.8181, 0.6580)  2 Nb 2.60-2.61



(3)
Below is an optimized crystal structure of Li5CuP2O8, with properties calculated at the PBE-GGA level.

Results
ΔE_f = -2522.5 meV per atom
Volume = 10.30 Å³ per atom
Energy = -6.18 eV per atom
Symmetry = P1, No. 1
Density = 2.904 g/cm³

abc: 5.3308 6.2119 9.9526
angles: 90.05 90.09 90.11
Last column: nearest neighbours and their distance in Å.
Atoms (fractional coordinates):
O (0.6826, 0.2014, 0.4450)  1 P 1.57
O (0.3149, 0.2911, 0.2044)  1 P 1.57
P (0.8246, 0.9959, 0.9994)  4 O 1.56-1.57
O (0.8205, 0.9999, 0.1560)  1 P 1.56
O (0.3142, 0.7065, 0.1953)  1 P 1.56
O (0.3099, 0.2964, 0.6968)  1 P 1.56
P (0.8263, 0.9999, 0.4998)  4 O 1.55-1.57
Li (0.1561, 0.0001, 0.2448)  4 O 1.99-2.07
O (0.1905, 0.5039, 0.4060)  1 P 1.56
O (0.1022, 0.0001, 0.4496)  1 P 1.55
Li (0.3282, 0.7532, 0.9962)  4 O 1.93-2.00
Li (0.3261, 0.2501, 0.4951)  4 O 1.95-2.03
O (0.0995, 0.9856, 0.9462)  1 P 1.56
O (0.9011, 0.4999, 0.1986)  1 P 1.56
Li (0.6733, 0.7462, 0.2451)  4 O 1.97-2.01
P (0.1754, 0.5030, 0.7491)  4 O 1.56
O (0.8189, 0.0000, 0.6562)  1 P 1.56
Li (0.3267, 0.7516, 0.4960)  4 O 1.92-2.01
O (0.6821, 0.7984, 0.4444)  1 P 1.57
O (0.3115, 0.7081, 0.6950)  1 P 1.56
Li (0.1554, 0.0005, 0.7458)  4 O 2.00-2.07
O (0.1785, 0.5096, 0.9057)  1 P 1.56
Li (0.6726, 0.7473, 0.7452)  4 O 1.96-2.03
Li (0.8454, 0.4995, 0.9950)  4 O 1.99-2.08
Cu (0.3340, 0.2425, 0.9985)  4 O 2.06-2.09
Li (0.6748, 0.2536, 0.2455)  4 O 1.97-2.01
O (0.6815, 0.7929, 0.9474)  1 P 1.56
Cu (0.8268, 0.5001, 0.4971)  4 O 2.07-2.14
O (0.8933, 0.5010, 0.7057)  1 P 1.56
O (0.7032, 0.2070, 0.9435)  1 P 1.57
P (0.1773, 0.5019, 0.2495)  4 O 1.56-1.57
Li (0.6724, 0.2530, 0.7448)  4 O 1.97-2.01



(4)
Below is an optimized crystal structure of AcZn3, with properties calculated at the PBE-GGA level.

Results
ΔE_f = -250.8 meV per atom
Volume = 23.06 Å³ per atom
Energy = -2.23 eV per atom
Symmetry = P6_3/mmc, No. 194
Density = 7.619 g/cm³

abc: 6.9361 6.9361 4.4277
angles: 90.00 90.00 120.00
Last column: nearest neighbours and their distance in Å.
Atoms (fractional coordinates):
Zn (0.7343, 0.8672, 0.2500)  6 Zn 2.73-2.76
Ac (0.6667, 0.3333, 0.2500)  12 Zn 3.27-3.49
Zn (0.8672, 0.7343, 0.7500)  6 Zn 2.73-2.76
Ac (0.3333, 0.6667, 0.7500)  12 Zn 3.27-3.49
Zn (0.8672, 0.1328, 0.7500)  6 Zn 2.73-2.76
Zn (0.2657, 0.1328, 0.7500)  6 Zn 2.73-2.76
Zn (0.1328, 0.8672, 0.2500)  6 Zn 2.73-2.76
Zn (0.1328, 0.2657, 0.2500)  6 Zn 2.73-2.76